(1)
Density functional theory data (PBE) for Y6O5F8 after structural relaxation.

## Properties
Space-group type ... No. 14
Mass density ... 4921 kg/m3
Energy of formation ... -7827 kJ/mol of formula units
M_tot ... 0.00 μB/atom

a b c (Å): 5.6138 5.4874 33.5370
angles (deg): 89.89 90.00 90.00
Closest atoms and distances in Å follow each position.
Positions (direct):
1 Y 0.2518 0.7104 0.0000  4 O 2.26-2.35, 2 F 2.32
2 Y 0.2482 0.7104 0.5000  4 O 2.26-2.35, 2 F 2.32
3 Y 0.7135 0.7226 0.7493  5 F 2.23-2.43, 2 O 2.28-2.32
4 Y 0.7865 0.7226 0.2493  5 F 2.23-2.43, 2 O 2.28-2.32
5 Y 0.2132 0.7077 0.3358  3 O 2.22-2.35, 4 F 2.28-2.39
6 Y 0.2612 0.7114 0.6641  3 O 2.17-2.37, 3 F 2.29-2.43
7 Y 0.2388 0.7114 0.1641  3 O 2.17-2.37, 3 F 2.29-2.43
8 Y 0.2868 0.7077 0.8358  3 O 2.22-2.35, 4 F 2.28-2.39
9 Y 0.7279 0.7032 0.9179  4 O 2.20-2.38, 2 F 2.28-2.33
10 Y 0.7226 0.7023 0.5824  4 O 2.22-2.34, 2 F 2.28-2.35
11 Y 0.7721 0.7032 0.4179  4 O 2.20-2.38, 2 F 2.28-2.33
12 Y 0.7774 0.7023 0.0824  4 O 2.22-2.34, 2 F 2.28-2.35
13 Y 0.2226 0.2977 0.9176  4 O 2.22-2.34, 2 F 2.28-2.35
14 Y 0.2721 0.2968 0.0821  4 O 2.20-2.38, 2 F 2.28-2.33
15 Y 0.2279 0.2968 0.5821  4 O 2.20-2.38, 2 F 2.28-2.33
16 Y 0.2774 0.2977 0.4176  4 O 2.22-2.34, 2 F 2.28-2.35
17 Y 0.7612 0.2886 0.8359  3 O 2.17-2.37, 3 F 2.29-2.43
18 Y 0.7132 0.2923 0.1642  3 O 2.22-2.35, 4 F 2.28-2.39
19 Y 0.7388 0.2886 0.3359  3 O 2.17-2.37, 3 F 2.29-2.43
20 Y 0.7868 0.2923 0.6642  3 O 2.22-2.35, 4 F 2.28-2.39
21 Y 0.2865 0.2774 0.2507  5 F 2.23-2.43, 2 O 2.28-2.32
22 Y 0.2135 0.2774 0.7507  5 F 2.23-2.43, 2 O 2.28-2.32
23 Y 0.7518 0.2896 0.5000  4 O 2.26-2.35, 2 F 2.32
24 Y 0.7482 0.2896 0.0000  4 O 2.26-2.35, 2 F 2.32
25 O 0.9922 0.5362 0.7105  4 Y 2.28-2.37
26 O 0.5078 0.5362 0.2105  4 Y 2.28-2.37
27 O 0.4932 0.5311 0.1252  4 Y 2.17-2.34
28 O 0.4931 0.5301 0.3725  4 Y 2.22-2.38
29 O 0.0068 0.5311 0.6252  4 Y 2.17-2.34
30 O 0.0069 0.5301 0.8725  4 Y 2.22-2.38
31 O 0.5234 0.5154 0.4581  4 Y 2.20-2.35
32 O 0.5243 0.5158 0.0418  4 Y 2.22-2.33
33 O 0.9766 0.5154 0.9581  4 Y 2.20-2.35
34 O 0.9757 0.5158 0.5418  4 Y 2.22-2.33
35 O 0.0243 0.4842 0.4582  4 Y 2.22-2.33
36 O 0.4757 0.4842 0.9582  4 Y 2.22-2.33
37 O 0.4766 0.4846 0.5419  4 Y 2.20-2.35
38 O 0.0234 0.4846 0.0419  4 Y 2.20-2.35
39 O 0.9931 0.4699 0.1275  4 Y 2.22-2.38
40 O 0.9932 0.4689 0.3748  4 Y 2.17-2.34
41 O 0.5069 0.4699 0.6275  4 Y 2.22-2.38
42 O 0.5068 0.4689 0.8748  4 Y 2.17-2.34
43 O 0.4922 0.4638 0.7895  4 Y 2.28-2.37
44 O 0.0078 0.4638 0.2895  4 Y 2.28-2.37
45 F 0.5818 0.9733 0.9635  2 Y 2.28-2.32
46 F 0.5819 0.9748 0.5366  2 Y 2.28-2.32
47 F 0.9182 0.9733 0.4635  2 Y 2.28-2.32
48 F 0.9181 0.9748 0.0366  2 Y 2.28-2.32
49 F 0.3865 0.9462 0.8887  3 Y 2.28-2.53
50 F 0.3812 0.9432 0.6106  3 Y 2.30-2.51
51 F 0.1135 0.9462 0.3887  3 Y 2.28-2.53
52 F 0.1188 0.9432 0.1106  3 Y 2.30-2.51
53 F 0.6421 0.9084 0.8163  3 Y 2.29-2.50
54 F 0.6321 0.9084 0.6849  3 Y 2.38-2.45
55 F 0.8679 0.9084 0.1849  3 Y 2.38-2.45
56 F 0.8579 0.9084 0.3163  3 Y 2.29-2.50
57 F 0.3460 0.8940 0.7488  2 Y 2.23-2.27
58 F 0.1540 0.8940 0.2488  2 Y 2.23-2.27
59 F 0.5081 0.5478 0.2917  4 Y 2.32-2.43
60 F 0.9919 0.5478 0.7917  4 Y 2.32-2.43
61 F 0.4919 0.4522 0.7083  4 Y 2.32-2.43
62 F 0.0081 0.4522 0.2083  4 Y 2.32-2.43
63 F 0.6540 0.1060 0.2512  2 Y 2.23-2.27
64 F 0.8460 0.1060 0.7512  2 Y 2.23-2.27
65 F 0.1321 0.0916 0.8151  3 Y 2.38-2.45
66 F 0.3579 0.0916 0.1837  3 Y 2.29-2.50
67 F 0.1421 0.0916 0.6837  3 Y 2.29-2.50
68 F 0.3679 0.0916 0.3151  3 Y 2.38-2.45
69 F 0.6188 0.0568 0.3894  3 Y 2.30-2.51
70 F 0.8812 0.0568 0.8894  3 Y 2.30-2.51
71 F 0.6135 0.0538 0.1113  3 Y 2.28-2.53
72 F 0.8865 0.0538 0.6113  3 Y 2.28-2.53
73 F 0.0819 0.0252 0.9634  2 Y 2.28-2.32
74 F 0.0818 0.0267 0.5365  2 Y 2.28-2.32
75 F 0.4181 0.0252 0.4634  2 Y 2.28-2.32
76 F 0.4182 0.0267 0.0365  2 Y 2.28-2.32

(2)
Density functional theory data (PBE) for Y5O4F7 after structural relaxation.

## Properties
Space-group type ... No. 41
Mass density ... 4945 kg/m3
Energy of formation ... -6602 kJ/mol of formula units
M_tot ... 0.00 μB/atom

a b c (Å): 14.2869 14.2869 10.9531
angles (deg): 90.00 90.00 157.33
Closest atoms and distances in Å follow each position.
Positions (direct):
1 Y 0.6973 0.7964 0.8977  4 O 2.24-2.34, 2 F 2.28-2.32
2 Y 0.3006 0.2022 0.8961  4 O 2.22-2.39, 2 F 2.29-2.34
3 Y 0.4830 0.9820 0.8882  6 F 2.24-2.45, 2 O 2.29-2.32
4 Y 0.9565 0.6616 0.8969  3 O 2.23-2.33, 4 F 2.26-2.42
5 Y 0.1313 0.4266 0.8925  3 O 2.18-2.35, 4 F 2.28-2.44
6 Y 0.4266 0.1313 0.1075  3 O 2.18-2.35, 4 F 2.28-2.44
7 Y 0.6616 0.9565 0.1031  3 O 2.23-2.33, 4 F 2.26-2.42
8 Y 0.9820 0.4830 0.1118  6 F 2.24-2.45, 2 O 2.29-2.32
9 Y 0.2022 0.3006 0.1039  4 O 2.22-2.39, 2 F 2.29-2.34
10 Y 0.7964 0.6973 0.1023  4 O 2.24-2.34, 2 F 2.28-2.32
11 Y 0.7022 0.8006 0.3961  4 O 2.22-2.39, 2 F 2.29-2.34
12 Y 0.2964 0.1973 0.3977  4 O 2.24-2.34, 2 F 2.28-2.32
13 Y 0.4820 0.9830 0.3882  6 F 2.24-2.45, 2 O 2.29-2.32
14 Y 0.9266 0.6313 0.3925  3 O 2.18-2.35, 4 F 2.28-2.44
15 Y 0.1616 0.4565 0.3969  3 O 2.23-2.33, 4 F 2.26-2.42
16 Y 0.4565 0.1616 0.6031  3 O 2.23-2.33, 4 F 2.26-2.42
17 Y 0.6313 0.9266 0.6075  3 O 2.18-2.35, 4 F 2.28-2.44
18 Y 0.9830 0.4820 0.6118  6 F 2.24-2.45, 2 O 2.29-2.32
19 Y 0.1973 0.2964 0.6023  4 O 2.24-2.34, 2 F 2.28-2.32
20 Y 0.8006 0.7022 0.6039  4 O 2.22-2.39, 2 F 2.29-2.34
21 O 0.9319 0.1318 0.9856  4 Y 2.18-2.34
22 O 0.6325 0.4269 0.9873  4 Y 2.24-2.39
23 O 0.8102 0.2148 0.9813  4 Y 2.29-2.35
24 O 0.4866 0.4866 0.0000  4 Y 2.22-2.31
25 O 0.9867 0.9867 0.0000  4 Y 2.24-2.33
26 O 0.2148 0.8102 0.0187  4 Y 2.29-2.35
27 O 0.4269 0.6325 0.0127  4 Y 2.24-2.39
28 O 0.1318 0.9319 0.0144  4 Y 2.18-2.34
29 O 0.6318 0.4319 0.4856  4 Y 2.18-2.34
30 O 0.9269 0.1325 0.4873  4 Y 2.24-2.39
31 O 0.7148 0.3102 0.4813  4 Y 2.29-2.35
32 O 0.4867 0.4867 0.5000  4 Y 2.24-2.33
33 O 0.9866 0.9866 0.5000  4 Y 2.22-2.31
34 O 0.3102 0.7148 0.5187  4 Y 2.29-2.35
35 O 0.4319 0.6318 0.5144  4 Y 2.18-2.34
36 O 0.1325 0.9269 0.5127  4 Y 2.24-2.39
37 F 0.0994 0.0993 0.7490  2 Y 2.28-2.29
38 F 0.5994 0.5993 0.7510  2 Y 2.28-2.29
39 F 0.3224 0.4967 0.7710  2 Y 2.28-2.32
40 F 0.0049 0.8322 0.7747  3 Y 2.26-2.52
41 F 0.4749 0.8199 0.8005  3 Y 2.34-2.41
42 F 0.3397 0.9940 0.7918  3 Y 2.33-2.45
43 F 0.1132 0.6105 0.8054  2 Y 2.24-2.27
44 F 0.7114 0.3113 0.9756  4 Y 2.32-2.44
45 F 0.3113 0.7114 0.0244  4 Y 2.32-2.44
46 F 0.6105 0.1132 0.1946  2 Y 2.24-2.27
47 F 0.9940 0.3397 0.2082  3 Y 2.33-2.45
48 F 0.8199 0.4749 0.1995  3 Y 2.34-2.41
49 F 0.8322 0.0049 0.2253  3 Y 2.26-2.52
50 F 0.4967 0.3224 0.2290  2 Y 2.28-2.32
51 F 0.0993 0.0994 0.2510  2 Y 2.28-2.29
52 F 0.5993 0.5994 0.2490  2 Y 2.28-2.29
53 F 0.9967 0.8224 0.2710  2 Y 2.28-2.32
54 F 0.3322 0.5049 0.2747  3 Y 2.26-2.52
55 F 0.4940 0.8397 0.2918  3 Y 2.33-2.45
56 F 0.3199 0.9749 0.3005  3 Y 2.34-2.41
57 F 0.1105 0.6132 0.3054  2 Y 2.24-2.27
58 F 0.8113 0.2114 0.4756  4 Y 2.32-2.44
59 F 0.2114 0.8113 0.5244  4 Y 2.32-2.44
60 F 0.6132 0.1105 0.6946  2 Y 2.24-2.27
61 F 0.9749 0.3199 0.6995  3 Y 2.34-2.41
62 F 0.8397 0.4940 0.7082  3 Y 2.33-2.45
63 F 0.5049 0.3322 0.7253  3 Y 2.26-2.52
64 F 0.8224 0.9967 0.7290  2 Y 2.28-2.32

(3)
Density functional theory data (PBE) for Y7O6F9 after structural relaxation.

## Properties
Space-group type ... No. 7
Mass density ... 4501 kg/m3
Energy of formation ... -8606 kJ/mol of formula units
M_tot ... 0.00 μB/atom

a b c (Å): 6.4270 7.9299 13.2279
angles (deg): 103.27 90.00 90.00
Closest atoms and distances in Å follow each position.
Positions (direct):
1 Y 0.3807 0.2287 0.1092  3 O 2.14-2.35, 1 F 2.29
2 Y 0.1676 0.7571 0.9494  2 O 2.14-2.32, 1 F 2.25
3 Y 0.3820 0.5868 0.3704  2 O 2.16-2.28, 3 F 2.26-2.31
4 Y 0.3085 0.6921 0.6609  3 O 2.18-2.26, 1 F 2.31
5 Y 0.1964 0.9924 0.5358  2 O 2.19-2.25, 4 F 2.21-2.44
6 Y 0.3434 0.1177 0.8419  4 O 2.21-2.39, 3 F 2.31-2.47
7 Y 0.1617 0.8846 0.2373  2 O 2.13-2.25, 4 F 2.18-2.30
8 Y 0.8383 0.3846 0.2373  2 O 2.13-2.25, 4 F 2.18-2.30
9 Y 0.6566 0.6177 0.8419  4 O 2.21-2.39, 3 F 2.31-2.47
10 Y 0.8036 0.4924 0.5358  2 O 2.19-2.25, 4 F 2.21-2.44
11 Y 0.6915 0.1921 0.6609  3 O 2.18-2.26, 1 F 2.31
12 Y 0.6180 0.0868 0.3704  2 O 2.16-2.28, 3 F 2.26-2.31
13 Y 0.8324 0.2571 0.9494  2 O 2.14-2.32, 1 F 2.25
14 Y 0.6193 0.7287 0.1092  3 O 2.14-2.35, 1 F 2.29
15 O 0.5777 0.2703 0.5169  3 Y 2.16-2.26
16 O 0.3339 0.9355 0.1096  2 Y 2.13-2.35
17 O 0.6117 0.3129 0.8217  4 Y 2.18-2.39
18 O 0.5293 0.2801 0.2745  3 Y 2.25-2.33
19 O 0.5990 0.5486 0.6719  3 Y 2.19-2.22
20 O 0.5571 0.1193 0.9728  3 Y 2.14-2.21
21 O 0.4429 0.6193 0.9728  3 Y 2.14-2.21
22 O 0.4707 0.7801 0.2745  3 Y 2.25-2.33
23 O 0.4010 0.0486 0.6719  3 Y 2.19-2.22
24 O 0.6661 0.4355 0.1096  2 Y 2.13-2.35
25 O 0.3883 0.8129 0.8217  4 Y 2.18-2.39
26 O 0.4223 0.7703 0.5169  3 Y 2.16-2.26
27 F 0.8001 0.8211 0.9826  3 Y 2.29-2.43, 2 F 2.48-2.56
28 F 0.0704 0.0188 0.9268  3 Y 2.25-2.40, 1 F 2.48
29 F 0.9897 0.6883 0.1269  2 Y 2.18-2.42
30 F 0.1750 0.4732 0.2340  2 Y 2.26-2.28
31 F 0.0071 0.6651 0.7774  3 Y 2.45-2.51, 2 F 2.56-2.72, 1 O 2.72
32 F 0.1032 0.7732 0.3809  3 Y 2.30-2.44
33 F 0.0147 0.8262 0.6166  2 Y 2.21-2.31
34 F 0.1474 0.5177 0.4977  3 Y 2.29-2.51
35 F 0.2624 0.0832 0.3848  3 Y 2.29-2.31
36 F 0.7376 0.5832 0.3848  3 Y 2.29-2.31
37 F 0.8526 0.0177 0.4977  3 Y 2.29-2.51
38 F 0.8968 0.2732 0.3809  3 Y 2.30-2.44
39 F 0.9853 0.3262 0.6166  2 Y 2.21-2.31
40 F 0.8250 0.9732 0.2340  2 Y 2.26-2.28
41 F 0.9929 0.1651 0.7774  3 Y 2.45-2.51, 2 F 2.56-2.72, 1 O 2.72
42 F 0.9296 0.5188 0.9268  3 Y 2.25-2.40, 1 F 2.48
43 F 0.0103 0.1883 0.1269  2 Y 2.18-2.42
44 F 0.1999 0.3211 0.9826  3 Y 2.29-2.43, 2 F 2.48-2.56

(4)
Density functional theory data (PBE) for Y6O5F8 after structural relaxation.

## Properties
Space-group type ... No. 18
Mass density ... 4939 kg/m3
Energy of formation ... -7827 kJ/mol of formula units
M_tot ... 0.00 μB/atom

a b c (Å): 5.4807 5.6083 33.4887
angles (deg): 90.00 90.00 90.00
Closest atoms and distances in Å follow each position.
Positions (direct):
1 Y 0.2902 0.5000 0.5000  4 O 2.25-2.34, 2 F 2.32
2 Y 0.7098 0.0000 0.0000  4 O 2.25-2.34, 2 F 2.32
3 Y 0.7104 0.0000 0.5000  4 O 2.26-2.33, 2 F 2.31
4 Y 0.2896 0.5000 0.0000  4 O 2.26-2.33, 2 F 2.31
5 Y 0.7017 0.4728 0.5824  4 O 2.22-2.34, 2 F 2.28-2.34
6 Y 0.2983 0.0272 0.0824  4 O 2.22-2.34, 2 F 2.28-2.34
7 Y 0.7017 0.5272 0.4176  4 O 2.22-2.34, 2 F 2.28-2.34
8 Y 0.2983 0.9728 0.9176  4 O 2.22-2.34, 2 F 2.28-2.34
9 Y 0.2970 0.0225 0.4181  4 O 2.19-2.38, 2 F 2.28-2.32
10 Y 0.7030 0.4775 0.9181  4 O 2.19-2.38, 2 F 2.28-2.32
11 Y 0.2970 0.9775 0.5819  4 O 2.19-2.38, 2 F 2.28-2.32
12 Y 0.7030 0.5225 0.0819  4 O 2.19-2.38, 2 F 2.28-2.32
13 Y 0.2922 0.5366 0.6642  3 O 2.22-2.35, 4 F 2.27-2.38
14 Y 0.7078 0.9634 0.1642  3 O 2.22-2.35, 4 F 2.27-2.38
15 Y 0.2922 0.4634 0.3358  3 O 2.22-2.35, 4 F 2.27-2.38
16 Y 0.7078 0.0366 0.8358  3 O 2.22-2.35, 4 F 2.27-2.38
17 Y 0.7115 0.9891 0.3359  3 O 2.18-2.37, 3 F 2.29-2.42
18 Y 0.2885 0.5109 0.8359  3 O 2.18-2.37, 3 F 2.29-2.42
19 Y 0.7115 0.0109 0.6641  3 O 2.18-2.37, 3 F 2.29-2.42
20 Y 0.2885 0.4891 0.1641  3 O 2.18-2.37, 3 F 2.29-2.42
21 Y 0.7225 0.4639 0.7492  6 F 2.23-2.49, 2 O 2.28-2.32
22 Y 0.2775 0.0361 0.2492  6 F 2.23-2.49, 2 O 2.28-2.32
23 Y 0.7225 0.5361 0.2508  6 F 2.23-2.49, 2 O 2.28-2.32
24 Y 0.2775 0.9639 0.7508  6 F 2.23-2.49, 2 O 2.28-2.32
25 O 0.5154 0.7256 0.5416  4 Y 2.22-2.33
26 O 0.4846 0.7744 0.0416  4 Y 2.22-2.33
27 O 0.5154 0.2744 0.4584  4 Y 2.22-2.33
28 O 0.4846 0.2256 0.9584  4 Y 2.22-2.33
29 O 0.4850 0.7737 0.4581  4 Y 2.19-2.34
30 O 0.5150 0.7263 0.9581  4 Y 2.19-2.34
31 O 0.4850 0.2263 0.5419  4 Y 2.19-2.34
32 O 0.5150 0.2737 0.0419  4 Y 2.19-2.34
33 O 0.5305 0.7565 0.6250  4 Y 2.18-2.34
34 O 0.4695 0.7435 0.1250  4 Y 2.18-2.34
35 O 0.5305 0.2435 0.3750  4 Y 2.18-2.34
36 O 0.4695 0.2565 0.8750  4 Y 2.18-2.34
37 O 0.4710 0.7431 0.3726  4 Y 2.22-2.38
38 O 0.5290 0.7569 0.8726  4 Y 2.22-2.38
39 O 0.4710 0.2569 0.6274  4 Y 2.22-2.38
40 O 0.5290 0.2431 0.1274  4 Y 2.22-2.38
41 O 0.5356 0.7421 0.7104  4 Y 2.28-2.37
42 O 0.4644 0.7579 0.2104  4 Y 2.28-2.37
43 O 0.5356 0.2579 0.2896  4 Y 2.28-2.37
44 O 0.4644 0.2421 0.7896  4 Y 2.28-2.37
45 F 0.9087 0.3818 0.6851  3 Y 2.38-2.45, 1 F 2.66
46 F 0.0913 0.1182 0.1851  3 Y 2.38-2.45, 1 F 2.66
47 F 0.9087 0.6182 0.3149  3 Y 2.38-2.45, 1 F 2.66
48 F 0.0913 0.8818 0.8149  3 Y 2.38-2.45, 1 F 2.66
49 F 0.0919 0.1077 0.3161  3 Y 2.29-2.49
50 F 0.9081 0.3923 0.8161  3 Y 2.29-2.49
51 F 0.0919 0.8923 0.6839  3 Y 2.29-2.49
52 F 0.9081 0.6077 0.1839  3 Y 2.29-2.49
53 F 0.1055 0.5970 0.7515  2 Y 2.23-2.26
54 F 0.8945 0.9030 0.2515  2 Y 2.23-2.26
55 F 0.1055 0.4030 0.2485  2 Y 2.23-2.26
56 F 0.8945 0.0970 0.7485  2 Y 2.23-2.26
57 F 0.9751 0.3328 0.5366  2 Y 2.28-2.32
58 F 0.0249 0.1672 0.0366  2 Y 2.28-2.32
59 F 0.9751 0.6672 0.4634  2 Y 2.28-2.32
60 F 0.0249 0.8328 0.9634  2 Y 2.28-2.32
61 F 0.0260 0.1661 0.4636  2 Y 2.28-2.31
62 F 0.9740 0.3339 0.9636  2 Y 2.28-2.31
63 F 0.0260 0.8339 0.5364  2 Y 2.28-2.31
64 F 0.9740 0.6661 0.0364  2 Y 2.28-2.31
65 F 0.0524 0.6361 0.6114  3 Y 2.27-2.54
66 F 0.9476 0.8639 0.1114  3 Y 2.27-2.54
67 F 0.0524 0.3639 0.3886  3 Y 2.27-2.54
68 F 0.9476 0.1361 0.8886  3 Y 2.27-2.54
69 F 0.9441 0.8701 0.3895  3 Y 2.30-2.52
70 F 0.0559 0.6299 0.8895  3 Y 2.30-2.52
71 F 0.9441 0.1299 0.6105  3 Y 2.30-2.52
72 F 0.0559 0.3701 0.1105  3 Y 2.30-2.52
73 F 0.4515 0.7586 0.2919  4 Y 2.32-2.42
74 F 0.5485 0.7414 0.7919  4 Y 2.32-2.42
75 F 0.4515 0.2414 0.7081  4 Y 2.32-2.42
76 F 0.5485 0.2586 0.2081  4 Y 2.32-2.42

(5)
Density functional theory data (PBE) for YOF after structural relaxation.

## Properties
Maximum piezoelectric response ... 0.9 C/m2
Space-group type ... No. 216
Mass density ... 5110 kg/m3
Energy of formation ... -1208 kJ/mol of formula units
M_tot ... 0.00 μB/atom

a b c (Å): 3.8471 3.8471 3.8471
angles (deg): 60.00 60.00 60.00
Closest atoms and distances in Å follow each position.
Positions (direct):
1 Y 0.0000 0.0000 0.0000  4 F 2.36, 4 O 2.36
2 O 0.2500 0.2500 0.2500  4 Y 2.36
3 F 0.7500 0.7500 0.7500  4 Y 2.36

(6)
Density functional theory data (PBE) for ZnO2F2 after structural relaxation.

## Properties
Space-group type ... No. 70
Mass density ... 2327 kg/m3
Energy of formation ... -674 kJ/mol of formula units
M_tot ... 0.40 μB/atom

a b c (Å): 3.1195 10.0660 12.5556
angles (deg): 88.90 82.86 81.09
Closest atoms and distances in Å follow each position.
Positions (direct):
1 Zn 0.8750 0.2500 0.2500  4 F 1.90-2.09
2 Zn 0.8750 0.7500 0.2500  4 F 1.90-2.09
3 Zn 0.8750 0.2500 0.7500  4 F 1.90-2.09
4 Zn 0.3750 0.7500 0.7500  4 F 1.90-2.09
5 O 0.7810 0.2488 0.4598  1 O 1.23
6 O 0.7593 0.7512 0.4598  1 O 1.23
7 O 0.9702 0.2488 0.5402  1 O 1.23
8 O 0.9690 0.2512 0.0402  1 O 1.23
9 O 0.4895 0.7512 0.5402  1 O 1.23
10 O 0.9907 0.7488 0.0402  1 O 1.23
11 O 0.7798 0.2512 0.9598  1 O 1.23
12 O 0.2605 0.7488 0.9598  1 O 1.23
13 F 0.4763 0.1246 0.2507  2 Zn 1.90-2.09
14 F 0.2730 0.8754 0.2507  2 Zn 1.90-2.09
15 F 0.3991 0.1246 0.7493  2 Zn 1.90-2.09
16 F 0.2737 0.3754 0.2493  2 Zn 1.90-2.09
17 F 0.8515 0.8754 0.7493  2 Zn 1.90-2.09
18 F 0.4770 0.6246 0.2493  2 Zn 1.90-2.09
19 F 0.3509 0.3754 0.7507  2 Zn 1.90-2.09
20 F 0.8985 0.6246 0.7507  2 Zn 1.90-2.09

> What is the mass density in the first record?

4921 kg/m3

> Look up the M_tot of the second one.

0.00 μB/atom